Computed, not measured: a relaxed Li5Co3O8 crystal at the PBE with a Hubbard U level of DFT.

a = 4.9148 Å, b = 5.0105 Å, c = 5.6960 Å
α = 73.08°, β = 89.69°, γ = 80.12°
With the nearest neighbours (Å) after each atom.
Positions (direct):
Li  0.0000  0.0000  0.0000  6 O 2.04-2.05
Li  0.2363  0.4968  0.8800  6 O 2.03-2.18
Li  0.2436  0.5028  0.3694  6 O 2.02-2.15
Li  0.7564  0.4972  0.6306  6 O 2.02-2.15
Li  0.7637  0.5032  0.1200  6 O 2.03-2.18
Co  0.0000  0.0000  0.5000  6 O 1.93-1.94
Co  0.4952  0.9989  0.7536  6 O 1.86-1.95
Co  0.5048  0.0011  0.2464  6 O 1.86-1.95
O  0.1421  0.2262  0.2039  2 Co 1.91-1.94, 4 Li 2.02-2.09
O  0.1463  0.2214  0.6790  2 Co 1.86-1.93, 2 Li 2.03-2.04
O  0.3703  0.7839  0.5519  3 Co 1.93-1.95, 2 Li 2.14-2.15
O  0.3971  0.7767  0.0534  2 Co 1.86-1.92, 2 Li 2.03-2.05
O  0.6029  0.2233  0.9466  2 Co 1.86-1.92, 2 Li 2.03-2.05
O  0.6297  0.2161  0.4481  3 Co 1.93-1.95, 2 Li 2.14-2.15
O  0.8537  0.7786  0.3210  2 Co 1.86-1.93, 2 Li 2.03-2.04
O  0.8579  0.7738  0.7961  2 Co 1.91-1.94, 4 Li 2.02-2.09

Results
The formation energy comes out at -1.720 eV/atom. The crystal system is triclinic. The calculation puts the spin magnetization at 0.03 μB/f.u.

=====

Computed, not measured: a relaxed CoH32C8S4N2O10 crystal at the PBE with a Hubbard U level of DFT.

a = 9.8925 Å, b = 12.5565 Å, c = 13.1004 Å
α = 90.00°, β = 121.63°, γ = 90.00°
With the nearest neighbours (Å) after each atom.
Positions (direct):
Co  0.0000  0.0000  0.0000  2 O 2.22, 2 S 2.26
Co  0.0000  0.5000  0.5000  2 O 2.22, 2 S 2.26
H  0.0154  0.2106  0.9878  1 O 1.03
H  0.0154  0.2894  0.4878  1 O 1.03
H  0.1195  0.6379  0.4183  1 O 1.02
H  0.1195  0.8621  0.9183  1 O 1.02
H  0.1210  0.6057  0.0838  1 C 1.09
H  0.1210  0.8943  0.5838  1 C 1.09
H  0.1530  0.1444  0.8564  1 O 1.13
H  0.1530  0.3556  0.3564  1 O 1.13
H  0.1707  0.0200  0.6626  1 C 1.09
H  0.1707  0.4800  0.1626  1 C 1.09
H  0.1807  0.0060  0.5298  1 C 1.10
H  0.1807  0.4940  0.0298  1 C 1.10
H  0.2215  0.2306  0.4659  1 O 1.02
H  0.2215  0.2694  0.9659  1 O 1.02
H  0.3138  0.6993  0.2631  1 C 1.10
H  0.3138  0.8007  0.7631  1 C 1.10
H  0.3283  0.7113  0.0850  1 C 1.10
H  0.3283  0.7887  0.5850  1 C 1.10
H  0.3566  0.5757  0.3429  1 C 1.10
H  0.3566  0.9243  0.8429  1 C 1.10
H  0.3870  0.5978  0.0344  1 C 1.10
H  0.3870  0.9022  0.5344  1 C 1.10
H  0.4056  0.0006  0.2142  1 C 1.10
H  0.4056  0.4994  0.7142  1 C 1.10
H  0.4350  0.0787  0.7728  1 C 1.10
H  0.4350  0.4213  0.2728  1 C 1.10
H  0.4560  0.0656  0.6451  1 C 1.10
H  0.4560  0.4344  0.1451  1 C 1.10
H  0.4683  0.1644  0.3301  1 C 1.09
H  0.4683  0.3356  0.8301  1 C 1.09
H  0.4830  0.1485  0.1506  1 C 1.10
H  0.4830  0.3515  0.6506  1 C 1.10
H  0.5170  0.6485  0.3494  1 C 1.10
H  0.5170  0.8515  0.8494  1 C 1.10
H  0.5317  0.6644  0.1699  1 C 1.09
H  0.5317  0.8356  0.6699  1 C 1.09
H  0.5440  0.5656  0.8549  1 C 1.10
H  0.5440  0.9344  0.3549  1 C 1.10
H  0.5650  0.5787  0.7272  1 C 1.10
H  0.5650  0.9213  0.2272  1 C 1.10
H  0.5944  0.5006  0.2858  1 C 1.10
H  0.5944  0.9994  0.7858  1 C 1.10
H  0.6130  0.0978  0.4656  1 C 1.10
H  0.6130  0.4022  0.9656  1 C 1.10
H  0.6434  0.0757  0.1571  1 C 1.10
H  0.6434  0.4243  0.6571  1 C 1.10
H  0.6717  0.2113  0.4150  1 C 1.10
H  0.6717  0.2887  0.9150  1 C 1.10
H  0.6862  0.1993  0.2369  1 C 1.10
H  0.6862  0.3007  0.7369  1 C 1.10
H  0.7785  0.7306  0.0341  1 O 1.02
H  0.7785  0.7694  0.5341  1 O 1.02
H  0.8193  0.5060  0.9702  1 C 1.10
H  0.8193  0.9940  0.4702  1 C 1.10
H  0.8293  0.5200  0.8374  1 C 1.09
H  0.8293  0.9800  0.3374  1 C 1.09
H  0.8470  0.6444  0.6436  1 O 1.13
H  0.8470  0.8556  0.1436  1 O 1.13
H  0.8790  0.1057  0.4162  1 C 1.09
H  0.8790  0.3943  0.9162  1 C 1.09
H  0.8805  0.1379  0.0817  1 O 1.02
H  0.8805  0.3621  0.5817  1 O 1.02
H  0.9846  0.7106  0.5122  1 O 1.03
H  0.9846  0.7894  0.0122  1 O 1.03
C  0.1957  0.5345  0.1093  3 H 1.09-1.10
C  0.1957  0.9655  0.6093  3 H 1.09-1.10
C  0.3904  0.6287  0.2934  3 H 1.10
C  0.3904  0.8713  0.7934  3 H 1.10
C  0.4068  0.6417  0.1134  3 H 1.09-1.10
C  0.4068  0.8583  0.6134  3 H 1.09-1.10
C  0.4717  0.0258  0.7251  3 H 1.10
C  0.4717  0.4742  0.2251  3 H 1.10
C  0.5283  0.5258  0.7749  3 H 1.10
C  0.5283  0.9742  0.2749  3 H 1.10
C  0.5932  0.1417  0.3866  3 H 1.09-1.10
C  0.5932  0.3583  0.8866  3 H 1.09-1.10
C  0.6096  0.1287  0.2066  3 H 1.10
C  0.6096  0.3713  0.7066  3 H 1.10
C  0.8043  0.0345  0.3907  3 H 1.09-1.10
C  0.8043  0.4655  0.8907  3 H 1.09-1.10
S  0.1396  0.1906  0.2786  3 O 1.49-1.66
S  0.1396  0.3094  0.7786  3 O 1.49-1.66
S  0.1782  0.1095  0.9955  1 H 1.76
S  0.1782  0.3905  0.4955  1 H 1.76
S  0.8218  0.6095  0.5045  1 H 1.76
S  0.8218  0.8905  0.0045  1 H 1.76
S  0.8604  0.6906  0.2214  3 O 1.49-1.66
S  0.8604  0.8094  0.7214  3 O 1.49-1.66
N  0.3654  0.5700  0.1848  4 C 1.50
N  0.3654  0.9300  0.6848  4 C 1.50
N  0.6346  0.0700  0.3152  4 C 1.50
N  0.6346  0.4300  0.8152  4 C 1.50
O  0.0309  0.6636  0.2720  1 S 1.49, 1 H 1.67
O  0.0309  0.8364  0.7720  1 S 1.49, 1 H 1.67
O  0.0813  0.7386  0.5110  1 H 1.03
O  0.0813  0.7614  0.0110  1 H 1.03
O  0.1485  0.6352  0.5049  1 H 1.02
O  0.1485  0.8648  0.0049  1 H 1.02
O  0.1590  0.1843  0.7815  1 H 1.13
O  0.1590  0.3157  0.2815  1 H 1.13
O  0.2278  0.1642  0.4242  1 H 1.02
O  0.2278  0.3358  0.9242  1 H 1.02
O  0.7722  0.6642  0.0758  1 H 1.02
O  0.7722  0.8358  0.5758  1 H 1.02
O  0.8410  0.6843  0.7185  1 H 1.13
O  0.8410  0.8157  0.2185  1 H 1.13
O  0.8515  0.1352  0.9951  1 H 1.02
O  0.8515  0.3648  0.4951  1 H 1.02
O  0.9187  0.2386  0.9890  1 H 1.03
O  0.9187  0.2614  0.4890  1 H 1.03
O  0.9691  0.1636  0.2280  1 S 1.49, 1 H 1.67
O  0.9691  0.3364  0.7280  1 S 1.49, 1 H 1.67

Results
The formation energy comes out at -0.460 eV/atom. The crystal system is monoclinic. The calculation puts the spin magnetization at 1.01 μB/f.u.

=====

Computed, not measured: a relaxed Li6CoCu3P4O16 crystal at the PBE with a Hubbard U level of DFT.

a = 5.0779 Å, b = 6.2602 Å, c = 10.4522 Å
α = 90.02°, β = 90.93°, γ = 90.14°
With the nearest neighbours (Å) after each atom.
Positions (direct):
Li  0.0000  0.0000  0.0000  3 O 1.92-2.01
Li  0.9998  0.4779  0.0002  3 O 1.92-2.00
Li  0.4610  0.4928  0.7566  4 O 1.89-2.06
Li  0.4609  0.9854  0.7567  4 O 1.89-2.06
Li  0.7229  0.4830  0.4819  4 O 1.92-2.04
Li  0.7234  0.9949  0.4824  4 O 1.91-2.02
Co  0.1816  0.2320  0.3910  6 O 2.08-2.32
Cu  0.4557  0.2391  0.9759  3 O 1.96-2.15
Cu  0.7648  0.7400  0.2790  3 O 1.97-2.00
Cu  0.9587  0.7391  0.7737  3 O 1.97-2.10
P  0.2313  0.7385  0.5162  4 O 1.55-1.58
P  0.5048  0.7391  0.0122  4 O 1.51-1.58
P  0.7177  0.2403  0.2264  4 O 1.53-1.58
P  0.9725  0.2390  0.7034  4 O 1.54-1.57
O  0.2735  0.2390  0.7198  1 P 1.54
O  0.3022  0.7397  0.6643  1 P 1.58
O  0.3493  0.5319  0.4586  1 P 1.55
O  0.3522  0.9452  0.4580  1 P 1.56
O  0.3684  0.5397  0.9453  1 P 1.58
O  0.3687  0.9379  0.9453  1 P 1.58
O  0.4166  0.2390  0.2301  1 P 1.53
O  0.4607  0.7395  0.1552  1 P 1.51
O  0.8039  0.7390  0.9804  1 P 1.56
O  0.8177  0.2378  0.0854  1 P 1.57
O  0.8462  0.0483  0.3023  1 P 1.58
O  0.8461  0.4342  0.2994  1 P 1.57
O  0.8480  0.0406  0.7713  1 P 1.57
O  0.8483  0.4370  0.7713  1 P 1.57
O  0.8934  0.2391  0.5586  1 P 1.56
O  0.9270  0.7396  0.4973  1 P 1.55

Results
The formation energy comes out at -2.265 eV/atom. The crystal system is triclinic. The calculation puts the spin magnetization at 2.99 μB/f.u.

=====

Computed, not measured: a relaxed Ta2MnO6 crystal at the PBE with a Hubbard U level of DFT.

a = 4.8334 Å, b = 10.5522 Å, c = 9.6674 Å
α = 62.74°, β = 90.00°, γ = 90.00°
With the nearest neighbours (Å) after each atom.
Positions (direct):
Ta  0.0000  0.0012  0.4994  6 O 2.00-2.02
Ta  0.0000  0.0012  0.9994  6 O 2.00-2.02
Ta  0.0000  0.6654  0.1673  6 O 2.00-2.02
Ta  0.0000  0.6654  0.6673  6 O 2.00-2.02
Ta  0.5000  0.1654  0.1673  6 O 2.00-2.02
Ta  0.5000  0.1654  0.6673  6 O 2.00-2.02
Ta  0.5000  0.5012  0.9994  6 O 2.00-2.02
Ta  0.5000  0.5012  0.4994  6 O 2.00-2.02
Mn  0.0000  0.3333  0.3334  6 O 2.16-2.22
Mn  0.5000  0.8333  0.8333  6 O 2.16-2.22
Mn  0.0000  0.3333  0.8333  6 O 2.16-2.22
Mn  0.5000  0.8333  0.3333  6 O 2.16-2.22
O  0.1844  0.8333  0.6755  2 Ta 2.02, 1 Mn 2.16
O  0.1844  0.8333  0.1755  2 Ta 2.02, 1 Mn 2.16
O  0.3156  0.3333  0.1755  2 Ta 2.02, 1 Mn 2.16
O  0.3156  0.3333  0.6755  2 Ta 2.02, 1 Mn 2.16
O  0.6844  0.3333  0.9911  2 Ta 2.02, 1 Mn 2.16
O  0.6844  0.3333  0.4911  2 Ta 2.02, 1 Mn 2.16
O  0.8156  0.8333  0.9911  2 Ta 2.02, 1 Mn 2.16
O  0.8156  0.8333  0.4911  2 Ta 2.02, 1 Mn 2.16
O  0.2073  0.1510  0.0282  2 Ta 2.00, 1 Mn 2.22
O  0.2073  0.1510  0.5282  2 Ta 2.00, 1 Mn 2.22
O  0.2074  0.5157  0.8458  2 Ta 2.00, 1 Mn 2.22
O  0.2074  0.5157  0.3458  2 Ta 2.00, 1 Mn 2.22
O  0.2926  0.0157  0.3458  2 Ta 2.00, 1 Mn 2.22
O  0.2926  0.0157  0.8458  2 Ta 2.00, 1 Mn 2.22
O  0.2927  0.6510  0.0282  2 Ta 2.00, 1 Mn 2.22
O  0.2927  0.6510  0.5282  2 Ta 2.00, 1 Mn 2.22
O  0.7073  0.6510  0.8208  2 Ta 2.00-2.01, 1 Mn 2.22
O  0.7073  0.6510  0.3208  2 Ta 2.00-2.01, 1 Mn 2.22
O  0.7074  0.0157  0.1385  2 Ta 2.00, 1 Mn 2.22
O  0.7074  0.0157  0.6385  2 Ta 2.00, 1 Mn 2.22
O  0.7926  0.5157  0.1385  2 Ta 2.00, 1 Mn 2.22
O  0.7926  0.5157  0.6385  2 Ta 2.00, 1 Mn 2.22
O  0.7927  0.1510  0.3208  2 Ta 2.00-2.01, 1 Mn 2.22
O  0.7927  0.1510  0.8208  2 Ta 2.00-2.01, 1 Mn 2.22

Results
The formation energy comes out at -3.092 eV/atom.

=====

Computed, not measured: a relaxed MnOF crystal at the PBE with a Hubbard U level of DFT.

a = 4.8175 Å, b = 3.0612 Å, c = 19.0925 Å
α = 90.00°, β = 97.10°, γ = 90.00°
With the nearest neighbours (Å) after each atom.
Positions (direct):
Mn  0.0000  0.0000  0.0000  4 O 1.96-1.97
Mn  0.0149  0.0000  0.7522  4 O 1.97
Mn  0.0352  0.0000  0.5042  4 O 1.96-1.97
Mn  0.4824  0.5000  0.1259  2 O 1.89-1.92, 4 F 2.04-2.09
Mn  0.5081  0.5000  0.8762  2 O 1.90-1.91, 4 F 2.05
Mn  0.5230  0.5000  0.6281  2 O 1.90, 4 F 2.05-2.06
Mn  0.5646  0.5000  0.3755  3 O 1.89-1.95, 3 F 2.05-2.10
Mn  0.9622  0.0000  0.2510  3 O 1.94-2.03, 2 F 2.09
O  0.1893  0.5000  0.0504  3 Mn 1.89-1.97
O  0.2091  0.5000  0.8011  3 Mn 1.90-1.97
O  0.2270  0.5000  0.5522  3 Mn 1.90-1.96
O  0.7116  0.0000  0.3291  3 Mn 1.95-2.03
O  0.7812  0.5000  0.2024  3 Mn 1.92-1.94
O  0.8053  0.5000  0.9520  3 Mn 1.91-1.96
O  0.8219  0.5000  0.7029  3 Mn 1.90-1.97
O  0.8437  0.5000  0.4544  3 Mn 1.89-1.97
F  0.2057  0.5000  0.3010  3 Mn 2.09-2.10
F  0.2911  0.0000  0.1774  3 Mn 2.09-2.24
F  0.3196  0.0000  0.9239  3 Mn 2.05-2.24
F  0.3312  0.0000  0.6745  3 Mn 2.05-2.25
F  0.3577  0.0000  0.4185  2 Mn 2.05
F  0.6793  0.0000  0.0812  2 Mn 2.04
F  0.6986  0.0000  0.8293  3 Mn 2.05-2.25
F  0.7103  0.0000  0.5795  3 Mn 2.06-2.25

Results
The formation energy comes out at -2.343 eV/atom. The crystal system is monoclinic. The calculation puts the spin magnetization at 4.00 μB/f.u.

=====

Computed, not measured: a relaxed MgMoO3 crystal at the PBE with a Hubbard U level of DFT.

a = 4.0025 Å, b = 4.0025 Å, c = 4.0025 Å
α = 90.00°, β = 90.00°, γ = 90.00°
With the nearest neighbours (Å) after each atom.
Positions (direct):
Mg  0.0000  0.0000  0.0000  12 O 2.83
Mo  0.5000  0.5000  0.5000  6 O 2.00
O  0.0000  0.5000  0.5000  2 Mo 2.00
O  0.5000  0.0000  0.5000  2 Mo 2.00
O  0.5000  0.5000  0.0000  2 Mo 2.00

Results
The formation energy comes out at -1.794 eV/atom. The crystal system is cubic. The calculation puts the spin magnetization at 1.94 μB/f.u.

=====

Computed, not measured: a relaxed Rb4MgU4Cr4O24 crystal at the PBE with a Hubbard U level of DFT.

a = 7.0082 Å, b = 8.6224 Å, c = 10.4182 Å
α = 90.05°, β = 103.59°, γ = 90.55°
With the nearest neighbours (Å) after each atom.
Positions (direct):
Rb  0.0000  0.0000  0.0000  4 O 2.71-3.02
Rb  0.0126  0.9402  0.4513  5 O 2.87-3.21
Rb  0.0965  0.4065  0.6560  6 O 2.81-3.14
Rb  0.1105  0.4537  0.2169  4 O 2.84-3.14
Mg  0.9343  0.6165  0.8981  4 O 1.98-2.03
U  0.5118  0.6799  0.0021  2 O 1.94-1.95
U  0.5323  0.2176  0.5039  2 O 1.85-1.86
U  0.5532  0.7204  0.6502  2 O 1.84-1.93
U  0.5586  0.1790  0.1511  2 O 1.84-1.85
Cr  0.4402  0.0559  0.7802  1 O 1.61
Cr  0.4441  0.8436  0.2733  2 O 1.68-1.88
Cr  0.6395  0.3495  0.8796  3 O 1.75-1.87
Cr  0.6522  0.5557  0.3802  1 O 1.61
O  0.2004  0.8215  0.2550  1 Cr 1.68
O  0.2084  0.0668  0.7737  1 Cr 1.61
O  0.2277  0.6532  0.9537  1 U 1.95, 1 Mg 2.02
O  0.2637  0.2508  0.4560  1 U 1.86
O  0.2868  0.6918  0.5859  1 U 1.84
O  0.2920  0.2079  0.0960  1 U 1.84
O  0.4891  0.9888  0.6234  1 Cr 1.84
O  0.4950  0.2613  0.7224  2 Cr 1.87-1.93
O  0.4982  0.9064  0.1122  1 Cr 1.88
O  0.5016  0.8521  0.8385  1 Cr 1.88
O  0.5055  0.6294  0.2162  2 Cr 1.89-2.02
O  0.5119  0.0540  0.3360  1 Cr 1.94
O  0.5509  0.5575  0.8145  1 Cr 1.97
O  0.5687  0.3577  0.3197  1 Cr 1.86
O  0.5736  0.4113  0.0316  1 Cr 1.83
O  0.5957  0.7598  0.4350  2 Cr 1.91-1.92
O  0.6041  0.4930  0.5397  1 Cr 1.85
O  0.6097  0.1314  0.9344  2 Cr 1.87-1.99
O  0.7949  0.6980  0.0345  1 U 1.94, 1 Mg 2.03
O  0.7994  0.1860  0.5576  1 U 1.85
O  0.8280  0.1573  0.2041  1 U 1.85
O  0.8304  0.7352  0.7289  1 U 1.93, 1 Mg 2.02
O  0.8862  0.5619  0.3930  1 Cr 1.61
O  0.8882  0.3897  0.8916  1 Cr 1.75

Results
The formation energy comes out at -2.786 eV/atom. The crystal system is triclinic. The calculation puts the spin magnetization at 6.00 μB/f.u.

=====

Computed, not measured: a relaxed Li9Mn2Co5O16 crystal at the PBE with a Hubbard U level of DFT.

a = 5.1710 Å, b = 5.9036 Å, c = 10.0336 Å
α = 88.27°, β = 79.27°, γ = 71.65°
With the nearest neighbours (Å) after each atom.
Positions (direct):
Li  0.0000  0.0000  0.0000  6 O 2.07-2.16
Li  0.4913  0.6315  0.8818  6 O 2.05-2.26
Li  0.4958  0.8702  0.1188  5 O 2.06-2.19
Li  0.4974  0.3709  0.6245  6 O 2.11-2.35
Li  0.4995  0.1254  0.3744  6 O 2.03-2.18
Li  0.5005  0.8746  0.6256  6 O 2.03-2.18
Li  0.5026  0.6291  0.3755  6 O 2.11-2.35
Li  0.5042  0.1298  0.8812  5 O 2.06-2.19
Li  0.5087  0.3685  0.1182  6 O 2.05-2.26
Mn  0.0044  0.7520  0.7524  6 O 1.91-1.99
Mn  0.9956  0.2480  0.2476  6 O 1.91-1.99
Co  0.0000  0.0000  0.5000  6 O 1.97-2.09
Co  0.0000  0.5000  0.0000  4 O 1.91-1.98
Co  0.0000  0.5000  0.5000  4 O 1.92
Co  0.0082  0.7530  0.2385  2 O 1.82-2.00
Co  0.9918  0.2470  0.7615  2 O 1.82-2.00
O  0.2092  0.4281  0.3191  2 Co 1.92-2.09, 1 Mn 1.99, 1 Li 2.08
O  0.2170  0.2056  0.5664  3 Co 1.92-2.09, 2 Li 2.15
O  0.2219  0.2144  0.0688  1 Co 1.91, 1 Mn 1.93, 2 Li 2.10-2.12
O  0.2284  0.9240  0.8046  1 Mn 1.91, 1 Co 2.00, 3 Li 2.03-2.07
O  0.2286  0.4519  0.8150  1 Mn 1.95, 2 Co 1.98-2.11, 3 Li 2.11-2.17
O  0.2318  0.9522  0.3095  1 Mn 1.95, 2 Co 2.03-2.11, 3 Li 2.10-2.16
O  0.2345  0.7068  0.5691  2 Co 1.97-2.18, 1 Mn 1.97, 3 Li 2.09-2.15
O  0.2404  0.6882  0.0740  1 Co 1.82
O  0.7596  0.3118  0.9260  1 Co 1.82
O  0.7655  0.2932  0.4309  2 Co 1.97-2.18, 1 Mn 1.97, 3 Li 2.09-2.15
O  0.7682  0.0478  0.6905  1 Mn 1.95, 2 Co 2.03-2.11, 3 Li 2.10-2.16
O  0.7714  0.5481  0.1850  1 Mn 1.95, 2 Co 1.98-2.11, 3 Li 2.11-2.17
O  0.7716  0.0760  0.1954  1 Mn 1.91, 1 Co 2.00, 3 Li 2.03-2.07
O  0.7781  0.7856  0.9312  1 Co 1.91, 1 Mn 1.93, 2 Li 2.10-2.12
O  0.7830  0.7944  0.4336  3 Co 1.92-2.09, 2 Li 2.15
O  0.7908  0.5719  0.6809  2 Co 1.92-2.09, 1 Mn 1.99, 1 Li 2.08

Results
The formation energy comes out at -1.829 eV/atom. The crystal system is triclinic. The calculation puts the spin magnetization at 12.00 μB/f.u.